# PBE Te4MoW3Se2S2, optimized geometry
# Space-group type: No. 156
# Crystal system: trigonal
# Polymorph energy (0 for the lowest one), kJ/mol of formula units: 0.5
# Electronic total energy, eV/atom: -6.8365
# Formation enthalpy at 0 K, kJ/mol of formula units: -529
data_Te4MoW3Se2S2
_symmetry_space_group_name_H-M 'P 1'
_symmetry_Int_Tables_number 1
_cell_length_a 3.395
_cell_length_b 3.395
_cell_length_c 38.855
_cell_angle_alpha 90.00
_cell_angle_beta 90.00
_cell_angle_gamma 120.00
loop_
_symmetry_equiv_pos_as_xyz
'x,y,z'
loop_
_atom_site_label
_atom_site_type_symbol
_atom_site_fract_x
_atom_site_fract_y
_atom_site_fract_z
_atom_site_occupancy
Te1 Te 0.000 0.000 0.000 1
Te2 Te 0.000 0.000 0.097 1
Te3 Te 0.000 0.000 0.376 1
Te4 Te 0.000 0.000 0.473 1
Mo1 Mo 0.667 0.333 0.048 1
W1 W 0.000 0.000 0.236 1
W2 W 0.000 0.000 0.612 1
W3 W 0.667 0.333 0.424 1
Se1 Se 0.667 0.333 0.193 1
Se2 Se 0.667 0.333 0.279 1
S1 S 0.667 0.333 0.573 1
S2 S 0.667 0.333 0.651 1